# 1
# Zn4As3C3N3O13, relaxed, DFT GGA-PBE
data_Zn4As3C3N3O13
_chemical_formula_sum 'Zn8 As6 C6 N6 O26'
_cell_length_a 7.9577
_cell_length_b 15.7476
_cell_length_c 7.9603
_cell_angle_alpha 90.00
_cell_angle_beta 92.83
_cell_angle_gamma 90.00
_symmetry_space_group_name_H-M 'P 1'
_symmetry_Int_Tables_number 1
_symmetry_space_group_name_Hall 'P 1'
loop_
_atom_site_label
_atom_site_fract_x
_atom_site_fract_y
_atom_site_fract_z
_atom_site_occupancy
Zn1 0.0838 0.0000 0.3014 1
Zn2 0.0910 0.1317 0.6212 1
Zn3 0.1962 0.6582 0.6988 1
Zn4 0.2220 0.4923 0.4301 1
Zn5 0.7780 0.9923 0.5699 1
Zn6 0.8038 0.1582 0.3012 1
Zn7 0.9090 0.6317 0.3788 1
Zn8 0.9162 0.5000 0.6986 1
As1 0.0176 0.8234 0.5013 1
As2 0.0979 0.5546 0.0489 1
As3 0.4357 0.0842 0.4110 1
As4 0.5643 0.5842 0.5890 1
As5 0.9021 0.0546 0.9511 1
As6 0.9824 0.3234 0.4987 1
C1 0.2134 0.2715 0.0670 1
C2 0.3693 0.9418 0.8668 1
C3 0.4498 0.7823 0.2797 1
C4 0.5502 0.2823 0.7203 1
C5 0.6307 0.4418 0.1332 1
C6 0.7866 0.7715 0.9330 1
N1 0.0799 0.2946 0.0150 1
N2 0.4121 0.0111 0.9061 1
N3 0.4784 0.8071 0.4178 1
N4 0.5216 0.3071 0.5822 1
N5 0.5879 0.5111 0.0939 1
N6 0.9201 0.7946 0.9850 1
O1 0.0288 0.2497 0.6541 1
O2 0.0412 0.4759 0.9084 1
O3 0.0625 0.5709 0.5520 1
O4 0.0768 0.0856 0.8471 1
O5 0.1079 0.7736 0.6735 1
O6 0.1506 0.8999 0.4294 1
O7 0.1670 0.3722 0.4470 1
O8 0.1719 0.6396 0.9384 1
O9 0.2487 0.5220 0.1952 1
O10 0.2895 0.0611 0.2520 1
O11 0.3288 0.1171 0.5830 1
O12 0.4320 0.6644 0.6458 1
O13 0.4478 0.4956 0.5357 1
O14 0.5522 0.9956 0.4643 1
O15 0.5680 0.1644 0.3542 1
O16 0.6712 0.6171 0.4170 1
O17 0.7105 0.5611 0.7480 1
O18 0.7513 0.0220 0.8048 1
O19 0.8281 0.1396 0.0616 1
O20 0.8330 0.8722 0.5530 1
O21 0.8494 0.3999 0.5706 1
O22 0.8921 0.2736 0.3265 1
O23 0.9232 0.5856 0.1529 1
O24 0.9375 0.0709 0.4480 1
O25 0.9588 0.9759 0.0916 1
O26 0.9712 0.7497 0.3459 1
# Final energy (eV for the cell shown): -284.83
# Formation energy (eV/atom): -0.589

# 2
# Na2AsPCO7, relaxed, DFT GGA-PBE
data_Na2AsPCO7
_chemical_formula_sum 'Na4 As2 P2 C2 O14'
_cell_length_a 5.4103
_cell_length_b 6.6624
_cell_length_c 9.2439
_cell_angle_alpha 90.00
_cell_angle_beta 96.03
_cell_angle_gamma 90.00
_symmetry_space_group_name_H-M 'P 1'
_symmetry_Int_Tables_number 1
_symmetry_space_group_name_Hall 'P 1'
loop_
_atom_site_label
_atom_site_fract_x
_atom_site_fract_y
_atom_site_fract_z
_atom_site_occupancy
Na1 0.2493 0.0098 0.2291 1
Na2 0.2493 0.4902 0.2291 1
Na3 0.7507 0.5098 0.7709 1
Na4 0.7507 0.9902 0.7709 1
As1 0.1737 0.2500 0.6363 1
As2 0.8263 0.7500 0.3637 1
P1 0.2597 0.7500 0.6012 1
P2 0.7403 0.2500 0.3988 1
C1 0.2932 0.2500 0.9170 1
C2 0.7068 0.7500 0.0830 1
O1 0.0736 0.2500 0.8251 1
O2 0.1366 0.5641 0.6661 1
O3 0.1366 0.9359 0.6661 1
O4 0.1767 0.7500 0.4271 1
O5 0.2753 0.2500 0.0508 1
O6 0.4593 0.2500 0.3780 1
O7 0.4900 0.2500 0.8508 1
O8 0.5100 0.7500 0.1492 1
O9 0.5407 0.7500 0.6220 1
O10 0.7247 0.7500 0.9492 1
O11 0.8233 0.2500 0.5729 1
O12 0.8634 0.0641 0.3339 1
O13 0.8634 0.4359 0.3339 1
O14 0.9264 0.7500 0.1749 1
# Final energy (eV for the cell shown): -156.00
# Formation energy (eV/atom): -2.185

What is the formation energy in the second record?
-2.185 eV/atom